# 1
Density functional theory data (GGA-PBE) for MgPHO9 after structural relaxation.

Summary:
The total magnetic moment comes out at 0.334 μB/atom. The value obtained for the total energy is -5.14 eV per atom.

Cell: 5.339 5.383 5.470 Å, 92.10 92.56 92.65°
Atoms (fractional coordinates):
Mg (0.000, 0.000, 0.000)
P (0.543, 0.537, 0.538)
H (0.381, 0.380, 0.383)
O (0.041, 0.935, 0.590)
O (0.059, 0.409, 0.973)
O (0.410, 0.976, 0.059)
O (0.476, 0.807, 0.500)
O (0.503, 0.471, 0.804)
O (0.592, 0.045, 0.931)
O (0.814, 0.493, 0.472)
O (0.935, 0.589, 0.051)
O (0.979, 0.058, 0.407)

***

# 2
Density functional theory data (GGA-PBE) for Mg2PHO5 after structural relaxation.

Summary:
The total magnetic moment comes out at 0.000 μB/atom. The value obtained for the total energy is -6.11 eV per atom. For the excess energy over the best structure of this formula in the dataset, the calculation gives 374 meV/atom.

Cell: 11.562 11.562 4.666 Å, 90.00 90.00 120.00°
Atoms (fractional coordinates):
Mg (0.144, 0.822, 0.000)
Mg (0.146, 0.663, 0.464)
Mg (0.178, 0.322, 0.000)
Mg (0.322, 0.178, 0.000)
Mg (0.337, 0.483, 0.464)
Mg (0.483, 0.337, 0.464)
Mg (0.517, 0.854, 0.464)
Mg (0.663, 0.146, 0.464)
Mg (0.678, 0.856, 0.000)
Mg (0.822, 0.144, 0.000)
Mg (0.854, 0.517, 0.464)
Mg (0.856, 0.678, 0.000)
P (0.000, 0.000, 0.623)
P (0.000, 0.349, 0.526)
P (0.333, 0.667, 0.957)
P (0.349, 0.000, 0.526)
P (0.651, 0.651, 0.526)
P (0.667, 0.333, 0.957)
H (0.000, 0.111, 0.508)
H (0.000, 0.536, 0.989)
H (0.111, 0.000, 0.508)
H (0.464, 0.464, 0.989)
H (0.536, 0.000, 0.989)
H (0.889, 0.889, 0.508)
O (0.000, 0.000, 0.954)
O (0.000, 0.270, 0.797)
O (0.000, 0.478, 0.625)
O (0.000, 0.600, 0.129)
O (0.000, 0.723, 0.596)
O (0.000, 0.797, 0.318)
O (0.128, 0.394, 0.349)
O (0.203, 0.203, 0.318)
O (0.243, 0.720, 0.848)
O (0.266, 0.872, 0.349)
O (0.270, 0.000, 0.797)
O (0.277, 0.277, 0.596)
O (0.280, 0.523, 0.848)
O (0.333, 0.667, 0.294)
O (0.394, 0.128, 0.349)
O (0.400, 0.400, 0.129)
O (0.477, 0.757, 0.848)
O (0.478, 0.000, 0.625)
O (0.522, 0.522, 0.625)
O (0.523, 0.280, 0.848)
O (0.600, 0.000, 0.129)
O (0.606, 0.734, 0.349)
O (0.667, 0.333, 0.294)
O (0.720, 0.243, 0.848)
O (0.723, 0.000, 0.596)
O (0.730, 0.730, 0.797)
O (0.734, 0.606, 0.349)
O (0.757, 0.477, 0.848)
O (0.797, 0.000, 0.318)
O (0.872, 0.266, 0.349)

***

# 3
Density functional theory data (GGA-PBE) for MgP2H16O10 after structural relaxation.

Summary:
The total magnetic moment comes out at 0.000 μB/atom. The value obtained for the total energy is -5.18 eV per atom.

Cell: 12.621 12.621 12.621 Å, 131.10 131.10 71.65°
Atoms (fractional coordinates):
Mg (0.125, 0.375, 0.750)
Mg (0.375, 0.125, 0.250)
Mg (0.625, 0.875, 0.750)
Mg (0.875, 0.625, 0.250)
P (0.013, 0.250, 0.263)
P (0.250, 0.487, 0.237)
P (0.250, 0.987, 0.737)
P (0.487, 0.750, 0.237)
P (0.513, 0.250, 0.763)
P (0.750, 0.013, 0.263)
P (0.750, 0.513, 0.763)
P (0.987, 0.750, 0.737)
H (0.032, 0.788, 0.896)
H (0.040, 0.599, 0.947)
H (0.049, 0.300, 0.860)
H (0.060, 0.811, 0.360)
H (0.092, 0.040, 0.940)
H (0.095, 0.145, 0.439)
H (0.099, 0.540, 0.447)
H (0.108, 0.712, 0.744)
H (0.136, 0.032, 0.744)
H (0.145, 0.207, 0.051)
H (0.152, 0.092, 0.553)
H (0.156, 0.707, 0.561)
H (0.189, 0.049, 0.249)
H (0.200, 0.451, 0.640)
H (0.207, 0.656, 0.061)
H (0.212, 0.608, 0.244)
H (0.288, 0.532, 0.396)
H (0.293, 0.355, 0.449)
H (0.300, 0.940, 0.251)
H (0.311, 0.560, 0.860)
H (0.344, 0.905, 0.551)
H (0.348, 0.901, 0.940)
H (0.355, 0.405, 0.061)
H (0.364, 0.108, 0.896)
H (0.392, 0.136, 0.604)
H (0.401, 0.848, 0.440)
H (0.405, 0.844, 0.051)
H (0.408, 0.348, 0.947)
H (0.440, 0.800, 0.751)
H (0.451, 0.311, 0.251)
H (0.460, 0.408, 0.560)
H (0.468, 0.364, 0.756)
H (0.532, 0.636, 0.244)
H (0.540, 0.592, 0.440)
H (0.549, 0.689, 0.749)
H (0.560, 0.200, 0.249)
H (0.592, 0.652, 0.053)
H (0.595, 0.156, 0.949)
H (0.599, 0.152, 0.560)
H (0.608, 0.864, 0.396)
H (0.636, 0.892, 0.104)
H (0.645, 0.595, 0.939)
H (0.652, 0.099, 0.060)
H (0.656, 0.095, 0.449)
H (0.689, 0.440, 0.140)
H (0.700, 0.060, 0.749)
H (0.707, 0.645, 0.551)
H (0.712, 0.468, 0.604)
H (0.788, 0.392, 0.756)
H (0.793, 0.344, 0.939)
H (0.800, 0.549, 0.360)
H (0.811, 0.951, 0.751)
H (0.844, 0.293, 0.439)
H (0.848, 0.908, 0.447)
H (0.855, 0.793, 0.949)
H (0.864, 0.968, 0.256)
H (0.892, 0.288, 0.256)
H (0.901, 0.460, 0.553)
H (0.905, 0.855, 0.561)
H (0.908, 0.960, 0.060)
H (0.940, 0.189, 0.640)
H (0.951, 0.700, 0.140)
H (0.960, 0.401, 0.053)
H (0.968, 0.212, 0.104)
O (0.022, 0.272, 0.750)
O (0.045, 0.117, 0.253)
O (0.072, 0.625, 0.453)
O (0.117, 0.364, 0.072)
O (0.119, 0.172, 0.547)
O (0.125, 0.572, 0.953)
O (0.136, 0.383, 0.428)
O (0.172, 0.125, 0.053)
O (0.208, 0.955, 0.572)
O (0.228, 0.478, 0.750)
O (0.272, 0.022, 0.250)
O (0.292, 0.864, 0.747)
O (0.328, 0.381, 0.953)
O (0.364, 0.792, 0.247)
O (0.375, 0.328, 0.447)
O (0.381, 0.928, 0.053)
O (0.383, 0.455, 0.247)
O (0.428, 0.881, 0.553)
O (0.455, 0.708, 0.072)
O (0.478, 0.228, 0.250)
O (0.522, 0.772, 0.750)
O (0.545, 0.292, 0.928)
O (0.572, 0.119, 0.447)
O (0.617, 0.545, 0.753)
O (0.619, 0.072, 0.947)
O (0.625, 0.672, 0.553)
O (0.636, 0.208, 0.753)
O (0.672, 0.619, 0.047)
O (0.708, 0.136, 0.253)
O (0.728, 0.978, 0.750)
O (0.772, 0.522, 0.250)
O (0.792, 0.045, 0.428)
O (0.828, 0.875, 0.947)
O (0.864, 0.617, 0.572)
O (0.875, 0.428, 0.047)
O (0.881, 0.828, 0.453)
O (0.883, 0.636, 0.928)
O (0.928, 0.375, 0.547)
O (0.955, 0.883, 0.747)
O (0.978, 0.728, 0.250)

***

| no. | ΔH_f (0 K) (eV/atom) |
| --- | --- |
| 1 | -0.685 |
| 2 | -2.404 |
| 3 | -1.411 |